Compound: SmSi3Ir
Source: Materials Project
Functional: r2SCAN
Structure: optimized geometry

The structure in CIF format:
```
data_SmSi3Ir
_space_group_name_H-M_alt 'I 4 m m'
_space_group_IT_number 107
_space_group_name_Hall 'I 4 -2'
_cell_length_a 4.219
_cell_length_b 4.219
_cell_length_c 9.803
_cell_angle_alpha 90.00
_cell_angle_beta 90.00
_cell_angle_gamma 90.00
loop_
_atom_site_label
_atom_site_type_symbol
_atom_site_fract_x
_atom_site_fract_y
_atom_site_fract_z
_atom_site_occupancy
Sm1 Sm 0.000 0.000 0.000 1
Si1 Si 0.000 0.000 0.416 1
Si2 Si 0.000 0.500 0.266 1
Ir1 Ir 0.000 0.000 0.655 1
```

The total energy is -225.43 eV per cell. The formation energy is -861 meV per atom.


Compound: TaBi4ClO8
Source: Materials Project
Functional: r2SCAN
Structure: optimized geometry

The structure in CIF format:
```
data_TaBi4ClO8
_space_group_name_H-M_alt 'P b c n'
_space_group_IT_number 60
_cell_length_a 5.475
_cell_length_b 5.524
_cell_length_c 28.946
_cell_angle_alpha 90.00
_cell_angle_beta 90.00
_cell_angle_gamma 90.00
loop_
_space_group_symop_operation_xyz
'x,y,z'
'-x,-y,-z'
'-x+1/2,-y+1/2,z+1/2'
'x+1/2,y+1/2,-z+1/2'
'x+1/2,-y+1/2,-z'
'-x+1/2,y+1/2,z'
'-x,y,-z+1/2'
'x,-y,z+1/2'
loop_
_atom_site_label
_atom_site_type_symbol
_atom_site_fract_x
_atom_site_fract_y
_atom_site_fract_z
_atom_site_occupancy
Ta1 Ta 0.000 0.011 0.250 1
Bi1 Bi 0.009 0.018 0.568 1
Bi2 Bi 0.021 0.439 0.343 1
Cl1 Cl 0.000 0.500 0.000 1
O1 O 0.095 0.059 0.316 1
O2 O 0.245 0.235 0.106 1
O3 O 0.246 0.288 0.236 1
O4 O 0.249 0.257 0.895 1
```

The total energy is -1449.49 eV per cell. The formation energy is -1846 meV per atom.


Compound: KAu2
Source: Materials Project
Functional: r2SCAN
Structure: optimized geometry

The structure in CIF format:
```
data_KAu2
_space_group_name_H-M_alt 'P 63/m m c'
_space_group_IT_number 194
_space_group_name_Hall '-P 6c 2c'
_cell_length_a 5.6921
_cell_length_b 5.6921
_cell_length_c 9.7426
_cell_angle_alpha 90.00
_cell_angle_beta 90.00
_cell_angle_gamma 120.00
loop_
_atom_site_label
_atom_site_type_symbol
_atom_site_fract_x
_atom_site_fract_y
_atom_site_fract_z
_atom_site_occupancy
K1 K 0.3333 0.6667 0.0614 1
Au1 Au 0.0000 0.0000 0.0000 1
Au2 Au 0.1675 0.3350 0.7500 1
```

The total energy is -432.90 eV per cell. The formation energy is -345 meV per atom.


Compound: MgPb2
Source: Materials Project
Functional: r2SCAN
Structure: optimized geometry

The structure in CIF format:
```
data_MgPb2
_space_group_name_H-M_alt 'C 1 2/m 1'
_space_group_IT_number 12
_cell_length_a 12.969
_cell_length_b 3.490
_cell_length_c 7.748
_cell_angle_alpha 90.00
_cell_angle_beta 106.99
_cell_angle_gamma 90.00
loop_
_space_group_symop_operation_xyz
'x,y,z'
'-x,-y,-z'
'-x,y,-z'
'x,-y,z'
'x+1/2,y+1/2,z'
'-x+1/2,-y+1/2,-z'
'-x+1/2,y+1/2,-z'
'x+1/2,-y+1/2,z'
loop_
_atom_site_label
_atom_site_type_symbol
_atom_site_fract_x
_atom_site_fract_y
_atom_site_fract_z
_atom_site_occupancy
Mg1 Mg 0.146 0.000 0.033 1
Pb1 Pb 0.026 0.500 0.268 1
Pb2 Pb 0.194 0.000 0.651 1
```

Its offset from the most stable computed form is 12.7 kJ/mol of formula units. The total energy is -467.03 eV per cell. The formation energy is -6 meV per atom.


Compound: NpAl3
Source: Materials Project
Functional: r2SCAN
Structure: optimized geometry

The structure in CIF format:
```
data_NpAl3
_space_group_name_H-M_alt 'P 1 21/m 1'
_space_group_IT_number 11
_cell_length_a 6.191
_cell_length_b 4.637
_cell_length_c 6.205
_cell_angle_alpha 90.00
_cell_angle_beta 118.20
_cell_angle_gamma 90.00
loop_
_space_group_symop_operation_xyz
'x,y,z'
'-x,-y,-z'
'-x,y+1/2,-z'
'x,-y+1/2,z'
loop_
_atom_site_label
_atom_site_type_symbol
_atom_site_fract_x
_atom_site_fract_y
_atom_site_fract_z
_atom_site_occupancy
Np1 Np 0.159 0.250 0.342 1
Al1 Al 0.208 0.250 0.861 1
Al2 Al 0.346 0.750 0.153 1
Al3 Al 0.362 0.750 0.709 1
```

The total energy is -209.31 eV per cell. The formation energy is -358 meV per atom.


Compound: Li5NCl2
Source: Materials Project
Functional: r2SCAN
Structure: optimized geometry

The structure in CIF format:
```
data_Li5NCl2
_space_group_name_H-M_alt 'R -3 m'
_space_group_IT_number 166
_space_group_name_Hall '-R 3 2"'
_cell_length_a 3.6154
_cell_length_b 3.6154
_cell_length_c 28.4521
_cell_angle_alpha 90.00
_cell_angle_beta 90.00
_cell_angle_gamma 120.00
loop_
_atom_site_label
_atom_site_type_symbol
_atom_site_fract_x
_atom_site_fract_y
_atom_site_fract_z
_atom_site_occupancy
Li1 Li 0.0000 0.0000 0.0000 1
Li2 Li 0.0000 0.0000 0.1744 1
Li3 Li 0.0000 0.0000 0.4329 1
N1 N 0.0000 0.0000 0.5000 1
Cl1 Cl 0.0000 0.0000 0.2818 1
```

The total energy is -130.58 eV per cell. The formation energy is -1270 meV per atom.


Compound: Pm2CdIn
Source: Materials Project
Functional: r2SCAN
Structure: optimized geometry

The structure in CIF format:
```
data_Pm2CdIn
_space_group_name_H-M_alt 'F m -3 m'
_space_group_IT_number 225
_space_group_name_Hall '-F 4 2 3'
_cell_length_a 7.669
_cell_length_b 7.669
_cell_length_c 7.669
_cell_angle_alpha 90.00
_cell_angle_beta 90.00
_cell_angle_gamma 90.00
loop_
_atom_site_label
_atom_site_type_symbol
_atom_site_fract_x
_atom_site_fract_y
_atom_site_fract_z
_atom_site_occupancy
Pm1 Pm 0.250 0.250 0.250 1
Cd1 Cd 0.000 0.000 0.000 1
In1 In 0.000 0.000 0.500 1
```

The total energy is -415.48 eV per cell. The formation energy is -527 meV per atom.


Compound: HoGa3
Source: Materials Project
Functional: r2SCAN
Structure: optimized geometry

The structure in CIF format:
```
data_HoGa3
_space_group_name_H-M_alt 'P 63/m m c'
_space_group_IT_number 194
_space_group_name_Hall '-P 6c 2c'
_cell_length_a 6.2258
_cell_length_b 6.2258
_cell_length_c 4.4795
_cell_angle_alpha 90.00
_cell_angle_beta 90.00
_cell_angle_gamma 120.00
loop_
_atom_site_label
_atom_site_type_symbol
_atom_site_fract_x
_atom_site_fract_y
_atom_site_fract_z
_atom_site_occupancy
Ho1 Ho 0.3333 0.6667 0.2500 1
Ga1 Ga 0.1460 0.2920 0.7500 1
```

The total energy is -139.02 eV per cell. The formation energy is -576 meV per atom.


Compound: K2B4O7
Source: Materials Project
Functional: r2SCAN
Structure: optimized geometry

The structure in CIF format:
```
data_K2B4O7
_space_group_name_H-M_alt 'P -1'
_space_group_IT_number 2
_cell_length_a 6.493
_cell_length_b 9.589
_cell_length_c 10.399
_cell_angle_alpha 89.42
_cell_angle_beta 77.38
_cell_angle_gamma 78.93
loop_
_space_group_symop_operation_xyz
'x,y,z'
'-x,-y,-z'
loop_
_atom_site_label
_atom_site_type_symbol
_atom_site_fract_x
_atom_site_fract_y
_atom_site_fract_z
_atom_site_occupancy
K1 K 0.127 0.127 0.042 1
K2 K 0.164 0.522 0.127 1
K3 K 0.247 0.003 0.407 1
K4 K 0.291 0.627 0.503 1
B1 B 0.048 0.152 0.731 1
B2 B 0.166 0.301 0.545 1
B3 B 0.311 0.910 0.730 1
B4 B 0.312 0.313 0.748 1
B5 B 0.369 0.810 0.159 1
B6 B 0.375 0.556 0.813 1
B7 B 0.382 0.299 0.314 1
B8 B 0.445 0.778 0.907 1
O1 O 0.012 0.227 0.608 1
O2 O 0.152 0.231 0.804 1
O3 O 0.154 0.872 0.184 1
O4 O 0.176 0.010 0.677 1
O5 O 0.178 0.322 0.413 1
O6 O 0.268 0.445 0.831 1
O7 O 0.297 0.352 0.610 1
O8 O 0.303 0.903 0.862 1
O9 O 0.328 0.656 0.914 1
O10 O 0.350 0.256 0.189 1
O11 O 0.458 0.814 0.640 1
O12 O 0.462 0.764 0.262 1
O13 O 0.471 0.433 0.300 1
O14 O 0.489 0.803 0.034 1
```

The total energy is -467.02 eV per cell. The formation energy is -2579 meV per atom.


Compound: MoO3
Source: Materials Project
Functional: r2SCAN
Structure: optimized geometry

The structure in CIF format:
```
data_MoO3
_space_group_name_H-M_alt 'P 1 21/c 1'
_space_group_IT_number 14
_cell_length_a 7.184
_cell_length_b 7.612
_cell_length_c 10.503
_cell_angle_alpha 90.00
_cell_angle_beta 132.04
_cell_angle_gamma 90.00
loop_
_space_group_symop_operation_xyz
'x,y,z'
'-x,-y,-z'
'-x,y+1/2,-z+1/2'
'x,-y+1/2,z+1/2'
loop_
_atom_site_label
_atom_site_type_symbol
_atom_site_fract_x
_atom_site_fract_y
_atom_site_fract_z
_atom_site_occupancy
Mo1 Mo 0.039 0.043 0.287 1
Mo2 Mo 0.459 0.535 0.709 1
O1 O 0.024 0.240 0.730 1
O2 O 0.206 0.013 0.998 1
O3 O 0.212 0.053 0.504 1
O4 O 0.286 0.536 0.285 1
O5 O 0.288 0.537 0.790 1
O6 O 0.491 0.739 0.207 1
```

The total energy is -419.20 eV per cell. The formation energy is -2103 meV per atom.


Compound: CeAl8Cu4
Source: Materials Project
Functional: r2SCAN
Structure: optimized geometry

The structure in CIF format:
```
data_CeAl8Cu4
_space_group_name_H-M_alt 'C 1 2/m 1'
_space_group_IT_number 12
_cell_length_a 10.202
_cell_length_b 8.771
_cell_length_c 5.107
_cell_angle_alpha 90.00
_cell_angle_beta 119.95
_cell_angle_gamma 90.00
loop_
_space_group_symop_operation_xyz
'x,y,z'
'-x,-y,-z'
'-x,y,-z'
'x,-y,z'
'x+1/2,y+1/2,z'
'-x+1/2,-y+1/2,-z'
'-x+1/2,y+1/2,-z'
'x+1/2,-y+1/2,z'
loop_
_atom_site_label
_atom_site_type_symbol
_atom_site_fract_x
_atom_site_fract_y
_atom_site_fract_z
_atom_site_occupancy
Ce1 Ce 0.000 0.000 0.000 1
Al1 Al 0.000 0.221 0.500 1
Al2 Al 0.000 0.348 0.000 1
Al3 Al 0.151 0.500 0.651 1
Al4 Al 0.222 0.000 0.722 1
Cu1 Cu 0.250 0.250 0.000 1
Cu2 Cu 0.250 0.250 0.500 1
```

The total energy is -264.94 eV per cell. The formation energy is -337 meV per atom.


Compound: Sc7Cl10
Source: Materials Project
Functional: r2SCAN
Structure: optimized geometry

The structure in CIF format:
```
data_Sc7Cl10
_space_group_name_H-M_alt 'C 1 2/m 1'
_space_group_IT_number 12
_cell_length_a 18.998
_cell_length_b 3.556
_cell_length_c 12.371
_cell_angle_alpha 90.00
_cell_angle_beta 90.64
_cell_angle_gamma 90.00
loop_
_space_group_symop_operation_xyz
'x,y,z'
'-x,-y,-z'
'-x,y,-z'
'x,-y,z'
'x+1/2,y+1/2,z'
'-x+1/2,-y+1/2,-z'
'-x+1/2,y+1/2,-z'
'x+1/2,-y+1/2,z'
loop_
_atom_site_label
_atom_site_type_symbol
_atom_site_fract_x
_atom_site_fract_y
_atom_site_fract_z
_atom_site_occupancy
Sc1 Sc 0.000 0.000 0.000 1
Sc2 Sc 0.168 0.500 0.752 1
Sc3 Sc 0.185 0.000 0.531 1
Sc4 Sc 0.191 0.500 0.298 1
Cl1 Cl 0.054 0.500 0.117 1
Cl2 Cl 0.087 0.500 0.598 1
Cl3 Cl 0.102 0.000 0.358 1
Cl4 Cl 0.110 0.000 0.879 1
Cl5 Cl 0.217 0.000 0.147 1
```

The total energy is -346.97 eV per cell. The formation energy is -1893 meV per atom.